# NaP3H24N4O14

NaP3H24N4O14 after structural relaxation (PBE, the Materials Project).

Computed properties:
* calculated formation energy: -1.37 eV per atom
* V: 9.3 Å³/atom
* energy: -5.5410 eV/atom

Cell lengths 6.999, 6.999, 19.918 Å; angles 94.12, 96.87, 117.07 degrees
Fractional positions:
H1 0.168 0.680 0.057
H2 0.123 0.111 0.443
H3 0.966 0.778 0.498
H4 0.580 0.656 0.415
P1 0.825 0.075 0.750
H5 0.443 0.373 0.786
H6 0.420 0.344 0.585
O1 0.729 0.029 0.062
H7 0.211 0.718 0.798
H8 0.832 0.320 0.943
H9 0.645 0.589 0.758
O2 0.362 0.830 0.596
P2 0.999 0.710 0.369
H10 0.789 0.282 0.202
O3 0.058 0.715 0.192
N1 0.529 0.427 0.745
H11 0.753 0.611 0.538
O4 0.168 0.119 0.223
O5 0.092 0.559 0.350
H12 0.907 0.135 0.235
O6 0.271 0.971 0.938
H13 0.247 0.389 0.462
H14 0.655 0.358 0.599
H15 0.462 0.920 0.638
H16 0.557 0.627 0.214
P3 0.175 0.925 0.250
O7 0.876 0.131 0.565
O8 0.722 0.383 0.131
N2 0.182 0.784 0.755
H17 0.877 0.889 0.557
O9 0.266 0.233 0.096
O10 0.604 0.056 0.723
H18 0.420 0.413 0.702
H19 0.331 0.887 0.742
H20 0.355 0.411 0.242
H21 0.600 0.328 0.735
H22 0.423 0.273 0.103
H23 0.667 0.434 0.921
N3 0.818 0.216 0.245
P4 0.841 0.629 0.131
H24 0.741 0.944 0.099
H25 0.427 0.785 0.038
H26 0.987 0.254 0.421
N4 0.101 0.247 0.457
H27 0.218 0.176 0.138
Na1 0.500 0.000 0.500
H28 0.577 0.727 0.897
O11 0.248 0.409 0.631
H29 0.782 0.824 0.862
H30 0.331 0.681 0.603
O12 0.832 0.881 0.777
H31 0.780 0.468 0.002
O13 0.734 0.767 0.904
H32 0.087 0.657 0.714
O14 0.977 0.134 0.692
O15 0.752 0.591 0.369
H33 0.538 0.080 0.362
H34 0.580 0.587 0.298
O16 0.291 0.258 0.850
H35 0.259 0.056 0.901
N5 0.899 0.753 0.543
O17 0.124 0.869 0.435
O18 0.467 0.667 0.438
H36 0.345 0.642 0.401
P5 0.159 0.371 0.869
H37 0.013 0.746 0.579
H38 0.333 0.566 0.079
H39 0.573 0.215 0.962
O19 0.533 0.333 0.562
N6 0.471 0.573 0.255
O20 0.278 0.617 0.869
H40 0.741 0.165 0.085
N7 0.710 0.356 0.957
H41 0.259 0.835 0.915
O21 0.023 0.866 0.308
H42 0.220 0.532 0.998
P6 0.001 0.290 0.631
Na2 0.000 0.000 0.000
O22 0.709 0.742 0.150
O23 0.942 0.285 0.808
N8 0.290 0.644 0.043
H43 0.400 0.672 0.265
H44 0.093 0.865 0.765
O24 0.908 0.441 0.650
O25 0.396 0.944 0.277
O26 0.933 0.689 0.065
H45 0.669 0.113 0.258
H46 0.034 0.222 0.502
O27 0.067 0.311 0.935
O28 0.638 0.170 0.404
H47 0.669 0.319 0.397
H48 0.913 0.343 0.286

# Na3PH3S2N3O8

Na3PH3S2N3O8 after structural relaxation (PBE, the Materials Project).

Computed properties:
* calculated formation energy: -1.27 eV per atom
* V: 13.1 Å³/atom
* energy: -5.6197 eV/atom

Cell lengths 9.938, 7.815, 15.584 Å; angles 60.28, 90.00, 90.00 degrees
Fractional positions:
H1 0.940 0.552 0.413
N1 0.702 0.213 0.087
O1 0.104 0.481 0.413
S1 0.732 0.117 0.531
O2 0.916 0.133 0.026
O3 0.632 0.520 0.330
O4 0.139 0.472 0.734
S2 0.774 0.462 0.352
N2 0.833 0.559 0.417
O5 0.584 0.133 0.526
O6 0.500 0.054 0.786
P1 0.714 0.456 0.042
N3 0.705 0.226 0.917
Na1 0.532 0.738 0.386
O7 0.774 0.912 0.574
N4 0.167 0.441 0.583
O8 0.604 0.519 0.087
O9 0.223 0.966 0.153
Na2 0.932 0.724 0.105
N5 0.295 0.774 0.083
H2 0.935 0.054 0.673
Na3 0.568 0.724 0.605
H3 0.060 0.448 0.587
N6 0.798 0.213 0.587
O10 0.361 0.472 0.234
H4 0.591 0.011 0.813
O11 0.274 0.088 0.926
N7 0.667 0.559 0.917
H5 0.409 0.989 0.187
S3 0.274 0.538 0.148
Na4 0.968 0.738 0.886
H6 0.440 0.448 0.087
O12 0.000 0.946 0.714
O13 0.861 0.528 0.266
N8 0.298 0.787 0.913
O14 0.143 0.477 0.958
O15 0.416 0.867 0.474
O16 0.643 0.523 0.542
N9 0.202 0.787 0.413
O17 0.896 0.519 0.587
Na5 0.468 0.262 0.614
O18 0.857 0.523 0.042
N10 0.795 0.226 0.417
S4 0.768 0.117 0.031
O19 0.726 0.912 0.074
Na6 0.068 0.276 0.895
O20 0.639 0.528 0.766
H7 0.909 0.011 0.313
Na7 0.550 0.712 0.158
O21 0.723 0.034 0.347
S5 0.232 0.883 0.969
S6 0.268 0.883 0.469
Na8 0.950 0.712 0.658
N11 0.333 0.441 0.083
H8 0.560 0.552 0.913
O22 0.396 0.481 0.913
O23 0.368 0.480 0.670
Na9 0.450 0.288 0.842
O24 0.357 0.477 0.458
O25 0.132 0.480 0.170
Na10 0.032 0.262 0.114
O26 0.500 0.946 0.214
O27 0.084 0.867 0.974
P2 0.214 0.544 0.458
O28 0.868 0.520 0.830
H9 0.091 0.989 0.687
P3 0.286 0.544 0.958
H10 0.435 0.946 0.827
S7 0.226 0.538 0.648
Na11 0.432 0.276 0.395
O29 0.777 0.034 0.847
O30 0.000 0.054 0.286
N12 0.205 0.774 0.583
P4 0.786 0.456 0.542
H11 0.565 0.054 0.173
H12 0.065 0.946 0.327
S8 0.726 0.462 0.852
O31 0.226 0.088 0.426
Na12 0.050 0.288 0.342
O32 0.277 0.966 0.653